(1)
DFT (PBE) results for a relaxed structure of KLaNb2O7.

Lattice parameters (Å, degrees): 3.933 3.946 11.356 80.00 90.00 90.00
Sites, in units of the cell vectors:
O (0.000, 0.584, 0.833)
Nb (0.500, 0.397, 0.207)
La (0.000, 0.999, 0.002)
Nb (0.500, 0.602, 0.796)
K (0.000, 0.234, 0.532)
O (0.500, 0.917, 0.166)
O (0.500, 0.084, 0.831)
O (0.000, 0.417, 0.166)
O (0.500, 0.501, 0.999)
O (0.500, 0.316, 0.367)
O (0.500, 0.684, 0.633)

DFT formation energy: -308 kJ/mol of atoms
total moment: 0.00 Bohr magnetons per cell

***

(2)
DFT (PBE) results for a relaxed structure of KLaNb4O12.

Lattice parameters (Å, degrees): 5.685 5.685 7.983 90.00 90.00 91.67
Sites, in units of the cell vectors:
O (0.769, 0.231, 0.263)
Nb (0.489, 0.016, 0.748)
O (0.480, 0.980, 0.500)
O (0.731, 0.721, 0.236)
O (0.731, 0.721, 0.764)
Nb (0.489, 0.016, 0.252)
La (0.487, 0.513, 0.000)
K (0.996, 0.004, 0.500)
O (0.020, 0.520, 0.500)
O (0.528, 0.026, 0.000)
Nb (0.984, 0.511, 0.748)
O (0.252, 0.748, 0.786)
O (0.252, 0.748, 0.214)
O (0.769, 0.231, 0.737)
Nb (0.984, 0.511, 0.252)
O (0.279, 0.269, 0.764)
O (0.279, 0.269, 0.236)
O (0.974, 0.472, 0.000)

DFT formation energy: -300 kJ/mol of atoms
total moment: 0.00 Bohr magnetons per cell